Entry 1:
The following is a DFT calculation (PBE with a Hubbard U) of a relaxed Ti2FeP2O10 crystal.

a = 7.4556 Å, b = 10.6160 Å, c = 10.6157 Å
α = 90.07°, β = 110.43°, γ = 110.43°
Fractional coordinates of all 60 atoms:
Ti: 0.9721 0.4923 0.2159
Ti: 0.9722 0.9924 0.7159
Ti: 0.0279 0.5077 0.7841
Ti: 0.0278 0.0076 0.2841
Ti: 0.4721 0.2159 0.9923
Ti: 0.4721 0.7159 0.4923
Ti: 0.5279 0.7841 0.0077
Ti: 0.5279 0.2841 0.5077
Fe: 0.0000 0.5000 0.5000
Fe: 0.5000 0.0000 0.5000
Fe: 0.0000 0.0000 0.0000
Fe: 0.5000 0.5000 0.0000
P: 0.2500 0.3101 0.6920
P: 0.2501 0.8101 0.1920
P: 0.7501 0.6920 0.8101
P: 0.7500 0.1920 0.3101
P: 0.7500 0.6899 0.3080
P: 0.7499 0.1899 0.8080
P: 0.2499 0.3080 0.1899
P: 0.2500 0.8080 0.6899
O: 0.3685 0.8281 0.0961
O: 0.3685 0.3281 0.5961
O: 0.6315 0.1719 0.9039
O: 0.6315 0.6719 0.4039
O: 0.1315 0.4039 0.1719
O: 0.1315 0.9039 0.6719
O: 0.8685 0.5961 0.8281
O: 0.8685 0.0961 0.3281
O: 0.7359 0.4226 0.0808
O: 0.7359 0.9225 0.5808
O: 0.7641 0.9192 0.0776
O: 0.7642 0.4192 0.5775
O: 0.2359 0.0808 0.9224
O: 0.2358 0.5808 0.4225
O: 0.2641 0.5774 0.9192
O: 0.2641 0.0775 0.4192
O: 0.3997 0.3370 0.8431
O: 0.3997 0.8371 0.3431
O: 0.8997 0.3431 0.3370
O: 0.8998 0.8431 0.8372
O: 0.6003 0.6630 0.1569
O: 0.6003 0.1629 0.6569
O: 0.1003 0.6569 0.6630
O: 0.1002 0.1569 0.1628
O: 0.6468 0.6703 0.9163
O: 0.6468 0.1703 0.4162
O: 0.1468 0.4162 0.6703
O: 0.1467 0.9162 0.1702
O: 0.3532 0.3297 0.0837
O: 0.3532 0.8297 0.5838
O: 0.8532 0.5838 0.3297
O: 0.8533 0.0838 0.8298
O: 0.0863 0.6646 0.1600
O: 0.0863 0.1646 0.6600
O: 0.5863 0.6600 0.6646
O: 0.5863 0.1600 0.1646
O: 0.9137 0.3354 0.8400
O: 0.9137 0.8354 0.3400
O: 0.4137 0.3400 0.3354
O: 0.4137 0.8400 0.8354

Entry 2:
The following is a DFT calculation (PBE with a Hubbard U) of a relaxed Ti5FeP6O24 crystal.

a = 8.4491 Å, b = 8.4491 Å, c = 8.4491 Å
α = 62.43°, β = 62.43°, γ = 62.43°
Fractional coordinates of all 36 atoms:
Ti: 0.9988 0.9988 0.9988
Ti: 0.4995 0.4995 0.4995
Ti: 0.1409 0.1409 0.1409
Ti: 0.3560 0.3560 0.3560
Ti: 0.6436 0.6436 0.6436
Fe: 0.8554 0.8554 0.8554
P: 0.5426 0.2514 0.9565
P: 0.9565 0.5426 0.2514
P: 0.2514 0.9565 0.5426
P: 0.7504 0.0469 0.4549
P: 0.0469 0.4549 0.7504
P: 0.4549 0.7504 0.0469
O: 0.3329 0.1104 0.4877
O: 0.4877 0.3329 0.1104
O: 0.9019 0.0592 0.2524
O: 0.1104 0.4877 0.3329
O: 0.8223 0.0188 0.6009
O: 0.5933 0.2462 0.4316
O: 0.0592 0.2524 0.9019
O: 0.2462 0.4316 0.5933
O: 0.3862 0.1785 0.9995
O: 0.4316 0.5933 0.2462
O: 0.7409 0.1048 0.9476
O: 0.9995 0.3862 0.1785
O: 0.0188 0.6009 0.8223
O: 0.2524 0.9019 0.0592
O: 0.5553 0.4071 0.7573
O: 0.6009 0.8223 0.0188
O: 0.7573 0.5553 0.4071
O: 0.9476 0.7409 0.1048
O: 0.4071 0.7573 0.5553
O: 0.1785 0.9995 0.3862
O: 0.8862 0.5025 0.6796
O: 0.1048 0.9476 0.7409
O: 0.5025 0.6796 0.8862
O: 0.6796 0.8862 0.5025

Properties
- crystal system = trigonal
- space group = No. 146

Entry 3:
The following is a DFT calculation (PBE with a Hubbard U) of a relaxed Ti2FeP3O12 crystal.

a = 8.5588 Å, b = 8.5588 Å, c = 8.5588 Å
α = 61.21°, β = 61.21°, γ = 61.21°
Fractional coordinates of all 36 atoms:
Ti: 0.8567 0.8567 0.8567
Ti: 0.6433 0.6433 0.6433
Ti: 0.3567 0.3567 0.3567
Ti: 0.1433 0.1433 0.1433
Fe: 0.0000 0.0000 0.0000
Fe: 0.5000 0.5000 0.5000
P: 0.7500 0.4575 0.0425
P: 0.4575 0.0425 0.7500
P: 0.0425 0.7500 0.4575
P: 0.9575 0.2500 0.5425
P: 0.5425 0.9575 0.2500
P: 0.2500 0.5425 0.9575
O: 0.8842 0.6839 0.4996
O: 0.6839 0.4996 0.8842
O: 0.9431 0.0908 0.7376
O: 0.4996 0.8842 0.6839
O: 0.9996 0.1839 0.3842
O: 0.7624 0.4092 0.5569
O: 0.7376 0.9431 0.0908
O: 0.5569 0.7624 0.4092
O: 0.8161 0.6158 0.0004
O: 0.4092 0.5569 0.7624
O: 0.9092 0.2624 0.0569
O: 0.6158 0.0004 0.8161
O: 0.3842 0.9996 0.1839
O: 0.0908 0.7376 0.9431
O: 0.5908 0.4431 0.2376
O: 0.1839 0.3842 0.9996
O: 0.4431 0.2376 0.5908
O: 0.2624 0.0569 0.9092
O: 0.2376 0.5908 0.4431
O: 0.0004 0.8161 0.6158
O: 0.5004 0.1158 0.3161
O: 0.0569 0.9092 0.2624
O: 0.3161 0.5004 0.1158
O: 0.1158 0.3161 0.5004

Properties
- crystal system = trigonal
- space group = No. 167

Entry 4:
The following is a DFT calculation (PBE with a Hubbard U) of a relaxed TiFe3P6O24 crystal.

a = 8.9382 Å, b = 8.9382 Å, c = 8.9382 Å
α = 58.55°, β = 58.55°, γ = 58.55°
Fractional coordinates of all 34 atoms:
Ti: 0.1401 0.1401 0.1401
Fe: 0.8570 0.8570 0.8570
Fe: 0.6419 0.6419 0.6419
Fe: 0.3574 0.3574 0.3574
P: 0.2492 0.5342 0.9664
P: 0.9664 0.2492 0.5342
P: 0.5342 0.9664 0.2492
P: 0.4677 0.0345 0.7475
P: 0.0345 0.7475 0.4677
P: 0.7475 0.4677 0.0345
O: 0.7278 0.4890 0.8631
O: 0.4890 0.8631 0.7278
O: 0.0791 0.7113 0.9375
O: 0.8631 0.7278 0.4890
O: 0.4227 0.5529 0.7907
O: 0.2130 0.3632 0.0063
O: 0.9375 0.0791 0.7113
O: 0.7907 0.4227 0.5529
O: 0.5529 0.7907 0.4227
O: 0.6390 0.0074 0.7716
O: 0.2920 0.0694 0.9210
O: 0.0074 0.7716 0.6390
O: 0.0063 0.2130 0.3632
O: 0.7113 0.9375 0.0791
O: 0.3632 0.0063 0.2130
O: 0.4424 0.2091 0.5755
O: 0.2091 0.5755 0.4424
O: 0.0694 0.9210 0.2920
O: 0.7716 0.6390 0.0074
O: 0.5755 0.4424 0.2091
O: 0.1367 0.2747 0.5088
O: 0.9210 0.2920 0.0694
O: 0.5088 0.1367 0.2747
O: 0.2747 0.5088 0.1367

Properties
- crystal system = trigonal
- space group = No. 146

Entry 5:
The following is a DFT calculation (PBE with a Hubbard U) of a relaxed Ti4FeP6O24 crystal.

a = 14.9766 Å, b = 14.9766 Å, c = 14.9766 Å
α = 33.54°, β = 33.54°, γ = 33.54°
Fractional coordinates of all 70 atoms:
Ti: 0.3037 0.3037 0.3037
Ti: 0.4441 0.4441 0.4441
Ti: 0.5559 0.5559 0.5559
Ti: 0.9472 0.9472 0.9472
Ti: 0.1946 0.1946 0.1946
Ti: 0.6963 0.6963 0.6963
Ti: 0.8054 0.8054 0.8054
Ti: 0.0528 0.0528 0.0528
Fe: 0.1245 0.1245 0.1245
Fe: 0.8755 0.8755 0.8755
P: 0.5398 0.9634 0.2400
P: 0.2400 0.5398 0.9634
P: 0.4602 0.7600 0.0366
P: 0.2132 0.7868 0.5000
P: 0.7868 0.5000 0.2132
P: 0.0366 0.4602 0.7600
P: 0.7110 0.2890 0.0000
P: 0.7600 0.0366 0.4602
P: 0.5000 0.2132 0.7868
P: 0.9634 0.2400 0.5398
P: 0.0000 0.7110 0.2890
P: 0.2890 0.0000 0.7110
O: 0.1850 0.9737 0.3278
O: 0.6971 0.4759 0.8372
O: 0.2281 0.4276 0.6014
O: 0.1628 0.5241 0.3029
O: 0.0623 0.7232 0.9540
O: 0.2001 0.0550 0.8333
O: 0.9540 0.0623 0.7232
O: 0.7951 0.9624 0.5901
O: 0.7224 0.9094 0.5373
O: 0.0376 0.2049 0.4099
O: 0.5241 0.3029 0.1628
O: 0.8333 0.2001 0.0550
O: 0.3278 0.1850 0.9737
O: 0.9450 0.7999 0.1667
O: 0.6503 0.4859 0.2749
O: 0.9624 0.5901 0.7951
O: 0.4099 0.0376 0.2049
O: 0.1667 0.9450 0.7999
O: 0.9737 0.3278 0.1850
O: 0.7719 0.3986 0.5724
O: 0.6014 0.2281 0.4276
O: 0.0460 0.2768 0.9377
O: 0.7251 0.5141 0.3497
O: 0.7999 0.1667 0.9450
O: 0.3497 0.7251 0.5141
O: 0.3029 0.1628 0.5241
O: 0.2749 0.6503 0.4859
O: 0.9377 0.0460 0.2768
O: 0.3986 0.5724 0.7719
O: 0.0550 0.8333 0.2001
O: 0.0906 0.2776 0.4627
O: 0.9094 0.5373 0.7224
O: 0.4859 0.2749 0.6503
O: 0.8150 0.6722 0.0263
O: 0.5373 0.7224 0.9094
O: 0.5901 0.7951 0.9624
O: 0.2049 0.4099 0.0376
O: 0.6722 0.0263 0.8150
O: 0.5141 0.3497 0.7251
O: 0.4759 0.8372 0.6971
O: 0.4276 0.6014 0.2281
O: 0.0263 0.8150 0.6722
O: 0.5724 0.7719 0.3986
O: 0.4627 0.0906 0.2776
O: 0.2768 0.9377 0.0460
O: 0.7232 0.9540 0.0623
O: 0.2776 0.4627 0.0906
O: 0.8372 0.6971 0.4759

Properties
- energy above the most stable polymorph in this dataset (eV/atom) = 0.000
- crystal system = trigonal
- space group = No. 155

Entry 6:
The following is a DFT calculation (PBE with a Hubbard U) of a relaxed Ti3FeP6O24 crystal.

a = 8.8923 Å, b = 8.8923 Å, c = 8.8923 Å
α = 58.39°, β = 58.39°, γ = 58.39°
Fractional coordinates of all 34 atoms:
Ti: 0.8606 0.8606 0.8606
Ti: 0.6406 0.6406 0.6406
Ti: 0.3594 0.3594 0.3594
Fe: 0.1432 0.1432 0.1432
P: 0.2516 0.5297 0.9680
P: 0.9680 0.2516 0.5297
P: 0.5297 0.9680 0.2516
P: 0.4645 0.0314 0.7546
P: 0.0314 0.7546 0.4645
P: 0.7546 0.4645 0.0314
O: 0.7205 0.5008 0.8602
O: 0.5008 0.8602 0.7205
O: 0.0763 0.7075 0.9399
O: 0.8602 0.7205 0.5008
O: 0.4242 0.5660 0.7900
O: 0.2346 0.3588 0.9863
O: 0.9399 0.0763 0.7075
O: 0.7900 0.4242 0.5660
O: 0.5660 0.7900 0.4242
O: 0.6363 0.0008 0.7833
O: 0.2870 0.0511 0.9272
O: 0.0008 0.7833 0.6363
O: 0.9863 0.2346 0.3588
O: 0.7075 0.9399 0.0763
O: 0.3588 0.9863 0.2346
O: 0.4347 0.2099 0.5808
O: 0.2099 0.5808 0.4347
O: 0.0511 0.9272 0.2870
O: 0.7833 0.6363 0.0008
O: 0.5808 0.4347 0.2099
O: 0.1393 0.2802 0.5004
O: 0.9272 0.2870 0.0511
O: 0.5004 0.1393 0.2802
O: 0.2802 0.5004 0.1393

Properties
- crystal system = trigonal
- space group = No. 146

no.,ρ (g cm⁻³),magnetic moment (μB/f.u.),DFT formation energy (meV per atom)
1,3.40,0.00,-2926.3
2,3.20,8.00,-2874.3
3,3.18,5.00,-2854.8
4,2.67,20.00,-2301.4
5,2.97,4.00,-2957.0
6,2.67,2.00,-2708.3